[1]
Material: LiGaAu2
Method: DFT, PBE
State: optimized geometry

The structure belongs to space group Fm-3m (No. 225); the cell edges are 6.366, 6.366 and 6.366 Å and the angles 90.00°, 90.00° and 90.00°. The distinct sites, in fractional coordinates, are Li at (0.000, 0.000, 0.000), Ga at (0.000, 0.000, 0.500) and Au at (0.250, 0.250, 0.250).

The calculation puts the calculated volume at 16.12 Å³ per atom. The value obtained for the energy of formation is -0.43 eV/atom.

[2]
Material: MgO
Method: DFT, PBE
State: optimized geometry

The structure belongs to space group P6/mcc (No. 192); the cell edges are 9.6681, 9.6681 and 4.1884 Å and the angles 90.00°, 90.00° and 120.00°. The distinct sites, in fractional coordinates, are Mg at (0.1224, 0.4540, 0.0000) and O at (0.1225, 0.4513, 0.5000).

The calculation puts the calculated volume at 14.13 Å³ per atom. The value obtained for the energy of formation is -2.94 eV/atom. The calculation puts the energy with MP2020 corrections at -149.1 eV/cell.

Among the records above, which one has the highest energy of formation?
LiGaAu2

Please write out number 1 again, unchanged.
Material: LiGaAu2
Method: DFT, PBE
State: optimized geometry

The structure belongs to space group Fm-3m (No. 225); the cell edges are 6.366, 6.366 and 6.366 Å and the angles 90.00°, 90.00° and 90.00°. The distinct sites, in fractional coordinates, are Li at (0.000, 0.000, 0.000), Ga at (0.000, 0.000, 0.500) and Au at (0.250, 0.250, 0.250).

The calculation puts the calculated volume at 16.12 Å³ per atom. The value obtained for the energy of formation is -0.43 eV/atom.